A relaxed Ca7NbSi4O17F crystal. Source: the Materials Project database, functional PBE.

Properties
calculated density	3.2	g cm⁻³
calculated volume	13.56	Å³/atom
calculated formation energy	-10073	kJ/mol of formula units
total energy	-448.26	eV/cell
space group	Pc, No. 7

Unit cell a=7.4525 b=10.5576 c=10.9693 alpha=90.00 beta=109.47 gamma=90.00
With the nearest neighbours (Å) after each atom.
Atoms (fractional coordinates):
Ca: 0.0000 0.1191 0.0000  5 O 2.31-2.52, 1 F 2.40
Ca: 0.0000 0.8809 0.5000  5 O 2.31-2.52, 1 F 2.40
Ca: 0.2902 0.1653 0.6123  6 O 2.30-2.45
Ca: 0.2902 0.8347 0.1123  6 O 2.30-2.45
Ca: 0.3555 0.3464 0.2526  6 O 2.31-2.50
Ca: 0.3555 0.6536 0.7526  6 O 2.31-2.50
Ca: 0.4874 0.1268 0.0208  4 O 2.26-2.43, 1 F 2.40
Ca: 0.4874 0.8732 0.5208  4 O 2.26-2.43, 1 F 2.40
Ca: 0.6658 0.3674 0.8511  4 O 2.32-2.48, 1 F 2.33
Ca: 0.6658 0.6326 0.3511  4 O 2.32-2.48, 1 F 2.33
Ca: 0.7968 0.1495 0.6238  6 O 2.35-2.53
Ca: 0.7968 0.8505 0.1238  6 O 2.35-2.53
Ca: 0.8667 0.3367 0.2654  4 O 2.31-2.45, 1 F 2.47
Ca: 0.8667 0.6633 0.7654  4 O 2.31-2.45, 1 F 2.47
Nb: 0.1767 0.3594 0.8745  3 O 1.90-1.93
Nb: 0.1767 0.6406 0.3745  3 O 1.90-1.93
Si: 0.1052 0.0598 0.2992  4 O 1.63-1.67
Si: 0.1052 0.9402 0.7992  4 O 1.63-1.67
Si: 0.5565 0.4454 0.5686  4 O 1.62-1.67
Si: 0.5565 0.5546 0.0686  4 O 1.62-1.67
Si: 0.6679 0.0559 0.3090  4 O 1.63-1.68
Si: 0.6679 0.9441 0.8090  4 O 1.63-1.68
Si: 0.9769 0.4306 0.5543  4 O 1.62-1.68
Si: 0.9769 0.5694 0.0543  4 O 1.62-1.68
O: 0.0052 0.4993 0.9278  1 Si 1.65
O: 0.0052 0.5007 0.4278  1 Si 1.65
O: 0.0977 0.0213 0.6707  1 Si 1.63
O: 0.0977 0.9787 0.1707  1 Si 1.63
O: 0.1011 0.4875 0.6971  1 Si 1.64
O: 0.1011 0.5125 0.1971  1 Si 1.64
O: 0.1252 0.2106 0.2751  1 Si 1.63
O: 0.1252 0.7894 0.7751  1 Si 1.63
O: 0.2399 0.0080 0.4395  1 Si 1.63
O: 0.2399 0.9920 0.9395  1 Si 1.63
O: 0.2506 0.2782 0.0381  1 Nb 1.90
O: 0.2506 0.7218 0.5381  1 Nb 1.90
O: 0.3597 0.2676 0.8218  1 Nb 1.91
O: 0.3597 0.7324 0.3218  1 Nb 1.91
O: 0.3892 0.4917 0.4367  1 Si 1.64
O: 0.3892 0.5083 0.9367  1 Si 1.64
O: 0.5452 0.2970 0.6039  1 Si 1.62
O: 0.5452 0.7030 0.1039  1 Si 1.62
O: 0.5462 0.0314 0.6873  1 Si 1.63
O: 0.5462 0.9686 0.1873  1 Si 1.63
O: 0.5847 0.4708 0.1998  1 Si 1.64
O: 0.5847 0.5292 0.6998  1 Si 1.64
O: 0.6148 0.2048 0.2757  1 Si 1.63
O: 0.6148 0.7952 0.7757  1 Si 1.63
O: 0.6842 0.0052 0.4526  1 Si 1.63
O: 0.6842 0.9948 0.9526  1 Si 1.63
O: 0.7494 0.4727 0.5269  2 Si 1.67-1.68
O: 0.7494 0.5273 0.0269  2 Si 1.67-1.68
O: 0.8899 0.0294 0.3091  2 Si 1.67-1.68
O: 0.8899 0.9706 0.8091  2 Si 1.67-1.68
O: 0.9425 0.2649 0.8158  1 Nb 1.93
O: 0.9425 0.7351 0.3158  1 Nb 1.93
O: 0.9923 0.2790 0.5379  1 Si 1.62
O: 0.9923 0.7210 0.0379  1 Si 1.62
F: 0.7662 0.2517 0.0428  4 Ca 2.33-2.47
F: 0.7662 0.7483 0.5428  4 Ca 2.33-2.47

---

A relaxed SiO2 crystal. Source: the Materials Project database, functional PBE.

Properties
calculated density	2.3	g cm⁻³
calculated volume	14.75	Å³/atom
calculated formation energy	-904	kJ/mol of formula units
total energy	-279.80	eV/cell
space group	P-31m, No. 162

Unit cell a=11.7412 b=11.7412 c=4.4471 alpha=90.00 beta=90.00 gamma=120.00
With the nearest neighbours (Å) after each atom.
Atoms (fractional coordinates):
Si: 0.1497 0.4612 0.2170  4 O 1.63-1.65
Si: 0.1497 0.6886 0.7830  4 O 1.63-1.65
Si: 0.3114 0.4612 0.7830  4 O 1.63-1.65
Si: 0.3114 0.8503 0.2170  4 O 1.63-1.65
Si: 0.4612 0.1497 0.2170  4 O 1.63-1.65
Si: 0.4612 0.3114 0.7830  4 O 1.63-1.65
Si: 0.5388 0.6886 0.2170  4 O 1.63-1.65
Si: 0.5388 0.8503 0.7830  4 O 1.63-1.65
Si: 0.6886 0.1497 0.7830  4 O 1.63-1.65
Si: 0.6886 0.5388 0.2170  4 O 1.63-1.65
Si: 0.8503 0.3114 0.2170  4 O 1.63-1.65
Si: 0.8503 0.5388 0.7830  4 O 1.63-1.65
O: 0.0000 0.3785 0.3456  2 Si 1.63
O: 0.0000 0.6215 0.6544  2 Si 1.63
O: 0.1630 0.5815 0.0000  2 Si 1.65
O: 0.1851 0.3702 0.0000  2 Si 1.64
O: 0.1851 0.8149 0.0000  2 Si 1.64
O: 0.2527 0.5054 0.5000  2 Si 1.64
O: 0.2527 0.7473 0.5000  2 Si 1.64
O: 0.3702 0.1851 0.0000  2 Si 1.64
O: 0.3785 0.0000 0.3456  2 Si 1.63
O: 0.3785 0.3785 0.6544  2 Si 1.63
O: 0.4185 0.5815 0.0000  2 Si 1.65
O: 0.4185 0.8370 0.0000  2 Si 1.65
O: 0.4946 0.7473 0.5000  2 Si 1.64
O: 0.5054 0.2527 0.5000  2 Si 1.64
O: 0.5815 0.1630 0.0000  2 Si 1.65
O: 0.5815 0.4185 0.0000  2 Si 1.65
O: 0.6215 0.0000 0.6544  2 Si 1.63
O: 0.6215 0.6215 0.3456  2 Si 1.63
O: 0.6298 0.8149 0.0000  2 Si 1.64
O: 0.7473 0.2527 0.5000  2 Si 1.64
O: 0.7473 0.4946 0.5000  2 Si 1.64
O: 0.8149 0.1851 0.0000  2 Si 1.64
O: 0.8149 0.6298 0.0000  2 Si 1.64
O: 0.8370 0.4185 0.0000  2 Si 1.65